Crystalline NdY3 at its relaxed geometry. Source: the Materials Project, functional r2SCAN.

The structure belongs to space group I4/mmm (No. 139); the cell edges are 5.145, 5.145 and 10.194 Å and the angles 90.00°, 90.00° and 90.00°. The distinct sites, in fractional coordinates, are Nd at (0.000, 0.000, 0.000), Y at (0.000, 0.000, 0.500) and Y at (0.000, 0.500, 0.250).

The calculation puts the excess energy over the best structure of this formula in the dataset at 1.38 kcal/mol of atoms. As for the total magnetization: 0.00 μB per cell. The value obtained for the electronic total energy is -22.516 eV/atom.

Crystalline ErSi2Rh3 at its relaxed geometry. Source: the Materials Project, functional r2SCAN.

The structure belongs to space group Imma (No. 74); the cell edges are 7.124, 9.531 and 5.508 Å and the angles 90.00°, 90.00° and 90.00°. The distinct sites, in fractional coordinates, are Er at (0.000, 0.250, 0.201), Si at (0.000, 0.078, 0.693), Rh at (0.214, 0.000, 0.000) and Rh at (0.250, 0.250, 0.750).

As for the total magnetization: 0.00 μB per cell. The value obtained for the electronic total energy is -21.775 eV/atom.

Crystalline TmNi4Au at its relaxed geometry. Source: the Materials Project, functional r2SCAN.

The structure belongs to space group F-43m (No. 216); the cell edges are 6.860, 6.860 and 6.860 Å and the angles 90.00°, 90.00° and 90.00°. The distinct sites, in fractional coordinates, are Tm at (0.000, 0.000, 0.000), Ni at (0.124, 0.124, 0.624) and Au at (0.250, 0.250, 0.250).

As for the total magnetization: 0.31 μB per cell. The value obtained for the electronic total energy is -22.665 eV/atom.

What is the formula in the second record? ErSi2Rh3